First-principles (PBE+U) data for a relaxed structure of P4H3W2O16, as listed in the Materials Project.

abc: 5.0138 7.4904 8.3186
angles: 90.80 90.57 104.35
Space group P1 (No. 1)
Asymmetric unit:
1 P 0.0000 0.0000 0.0000
2 P 0.2354 0.5166 0.3224
3 P 0.4946 0.4840 0.8105
4 P 0.7299 0.0227 0.5109
5 H 0.0767 0.2423 0.6544
6 H 0.5692 0.7564 0.2650
7 H 0.6769 0.7508 0.0355
8 W 0.1148 0.7538 0.6629
9 W 0.6174 0.2581 0.1610
10 O 0.0629 0.9426 0.8290
11 O 0.1694 0.5701 0.4940
12 O 0.2574 0.0760 0.1019
13 O 0.3454 0.3203 0.7135
14 O 0.3497 0.6490 0.8174
15 O 0.3791 0.6975 0.2322
16 O 0.4244 0.3830 0.3311
17 O 0.4435 0.9305 0.5896
18 O 0.5603 0.4482 0.9859
19 O 0.6770 0.0696 0.3383
20 O 0.7870 0.5812 0.7323
21 O 0.8140 0.1355 0.9909
22 O 0.8471 0.8193 0.0895
23 O 0.8679 0.1917 0.6135
24 O 0.8885 0.8678 0.5067
25 O 0.9765 0.4381 0.2221

Properties
E_tot	-6.95	eV/atom
formation enthalpy at 0 K	-2.269	eV per atom
theoretical density	4.119	g cm⁻³
M_tot	3.00	μB/f.u.
crystal system	triclinic